K2TlRuF6 PBE-GGA optimized geometry; total energy = -4.610 eV per atom; magnetization = 1.00 μB/f.u.; space-group type = Fm-3m
1.0
0.000 4.625 4.625
4.625 0.000 4.625
4.625 4.625 0.000
F K Tl Ru
6 2 1 1
Cartesian
7.223 4.625 4.625
4.625 4.625 2.026
4.625 2.026 4.625
4.625 4.625 7.223
4.625 7.223 4.625
2.026 4.625 4.625
2.312 2.312 2.312
6.937 6.937 6.937
4.625 4.625 4.625
0.000 0.000 0.000

HoBi2O6 PBE-GGA optimized geometry; total energy = -6.230 eV per atom; magnetization = 0.00 μB/f.u.; space-group type = Pmn2_1
1.0
5.608 0.000 0.000
0.000 6.075 0.000
0.000 0.000 8.240
O Bi Ho
12 4 2
Cartesian
0.870 1.345 4.120
3.753 0.491 5.613
3.674 4.730 0.000
0.949 5.583 6.747
5.097 1.846 0.000
4.364 3.140 5.700
0.949 5.583 1.493
4.364 3.140 2.540
1.560 2.934 6.660
1.560 2.934 1.580
3.753 0.491 2.627
2.293 4.229 4.120
2.858 4.670 6.166
0.054 1.404 6.194
0.054 1.404 2.046
2.858 4.670 2.074
2.996 2.058 4.120
0.192 4.017 0.000

KAuC2S2N2 PBE-GGA optimized geometry; total energy = -6.056 eV per atom; magnetization = 0.00 μB/f.u.; space-group type = C2/c
1.0
-4.423 -4.779 -3.402
0.760 -3.554 -6.385
5.914 -16.735 3.399
N S K C Au
8 8 4 8 4
Cartesian
-0.696 -3.425 -2.195
-0.454 -11.639 -2.549
-0.360 -13.358 -5.691
-2.759 -5.655 -4.095
5.010 -19.413 -2.293
2.610 -11.710 -0.697
2.947 -21.643 -4.193
2.705 -13.429 -3.839
-1.074 -7.675 -1.188
3.325 -17.393 -5.200
-0.138 -5.949 -5.140
2.389 -19.119 -1.248
-2.811 -9.777 -5.069
1.470 -10.270 -4.121
5.062 -15.291 -1.319
0.781 -14.798 -2.267
4.878 -17.297 1.636
0.107 -16.191 -6.197
2.143 -8.877 -0.192
-2.627 -7.771 -8.024
3.919 -19.254 -1.872
0.322 -11.038 -3.203
0.252 -4.086 -1.936
-1.669 -5.814 -4.516
-0.381 -12.478 -6.484
2.632 -12.590 0.095
1.928 -14.030 -3.185
1.999 -20.982 -4.452
-2.030 -8.747 -3.079
4.281 -16.321 -3.310
0.550 -8.137 -4.564
1.700 -16.932 -1.824

K3AsS4 PBE-GGA optimized geometry; total energy = -3.938 eV per atom; space-group type = Pnma
1.0
9.254 0.000 0.000
0.000 9.624 0.000
0.000 0.000 10.721
K S As
12 16 4
Cartesian
0.614 2.878 0.481
1.250 0.710 8.040
8.640 6.745 5.842
4.013 7.690 10.239
0.614 2.878 4.879
3.377 5.522 2.680
8.640 6.745 10.239
4.013 7.690 5.842
5.241 1.934 4.879
5.241 1.934 0.481
8.004 8.913 2.680
5.877 4.101 8.040
6.083 5.122 0.867
1.663 7.164 8.040
7.798 0.310 6.227
3.171 4.501 6.227
1.456 9.313 4.494
6.290 7.271 8.040
4.747 0.892 8.040
0.120 3.920 8.040
6.083 5.122 4.494
3.171 4.501 9.854
4.506 8.731 2.680
2.964 2.353 2.680
7.798 0.310 9.854
7.590 2.459 2.680
1.456 9.313 0.867
9.133 5.704 2.680
7.209 4.624 2.680
6.672 9.435 8.040
2.045 5.000 8.040
2.582 0.188 2.680

Na2CdCl4O3 PBE-GGA optimized geometry; total energy = -3.441 eV per atom; magnetization = 0.00 μB/f.u.; space-group type = C2/m
1.0
-3.860 -7.199 0.295
3.860 -7.199 0.295
3.860 2.083 7.827
Na O Cd Cl
4 6 2 8
Cartesian
1.930 -3.600 0.148
0.000 -4.804 4.196
3.860 -7.511 4.221
-1.930 -3.600 0.148
1.100 -11.012 4.606
0.000 -7.877 4.393
2.760 -3.813 4.311
2.760 -1.303 3.811
3.860 -4.438 4.024
1.100 -8.502 4.106
0.000 0.000 0.000
0.000 -7.199 0.295
1.904 -6.285 6.588
5.816 -6.285 6.588
-1.956 -6.030 1.829
0.000 -2.072 1.698
3.860 -10.243 6.719
1.956 -6.030 1.829
3.860 -2.926 6.834
0.000 -9.389 1.583

ZnSnSb2 PBE-GGA optimized geometry; energy above the most stable polymorph in this dataset = 0.006 eV per formula unit; space-group type = P-4m2
1.0
-2.957 2.889 1.932
-3.388 -1.831 -2.447
-1.070 -4.172 4.603
Sb Zn Sn
2 1 1
Cartesian
-2.311 -1.801 4.546
-1.932 -1.842 -0.201
0.000 0.000 0.000
-3.708 -1.557 2.044

SmNi2Sb2 PBE-GGA optimized geometry; total energy = -5.470 eV per atom; magnetization = 0.00 μB/f.u.; space-group type = I4/mmm
1.0
4.650 -3.960 -0.743
3.340 -1.795 4.845
-5.919 0.532 -1.593
Ni Sm Sb
2 1 2
Cartesian
1.363 -3.152 -0.143
0.708 -2.070 2.651
0.000 0.000 0.000
5.074 -3.654 2.605
2.916 -2.100 1.497

Si3W PBE-GGA optimized geometry; total energy = -6.908 eV per atom; magnetization = 0.00 μB/f.u.; space-group type = P6_3/mmc
1.0
-4.963 -0.399 -1.671
3.223 -4.134 -0.332
-1.361 -1.413 4.381
Si W
6 2
Cartesian
1.437 -3.828 0.527
-3.023 -4.062 1.695
-0.897 -4.015 -0.259
-4.539 -2.118 1.851
-0.079 -1.883 0.683
-2.204 -1.930 2.637
-2.575 -1.997 -0.129
-0.527 -3.949 2.508

Tb6CoBr10 PBE-GGA optimized geometry; total energy = -4.590 eV per atom; space-group type = P-1
1.0
-0.073 3.401 6.565
3.881 -8.151 1.505
6.228 5.474 -4.077
Tb Br Co
6 10 1
Cartesian
5.295 -3.450 -0.421
4.723 3.829 -0.198
4.740 4.174 4.414
1.767 1.463 -0.190
5.312 -3.105 4.191
8.268 -0.739 4.183
6.575 1.716 -0.118
6.280 5.416 -2.113
3.468 -0.935 -0.217
3.461 -0.992 4.111
3.789 -4.498 1.867
3.756 -4.693 6.106
6.567 1.659 4.210
6.801 -1.956 1.814
3.234 2.680 2.179
6.247 5.221 2.126
3.114 2.737 -2.038

Ni4N3 PBE-GGA optimized geometry; total energy = -6.472 eV per atom; magnetization = 0.01 μB/f.u.; space-group type = Pm-3m
1.0
-0.443 -3.048 2.491
3.907 -0.035 0.652
-0.479 2.530 3.010
N Ni
3 4
Cartesian
-0.461 -0.259 2.751
1.714 1.248 1.831
1.732 -1.541 1.571
1.492 -0.276 3.076
-0.240 1.265 1.505
-0.221 -1.524 1.246
1.954 -0.017 0.326

La5CuPb3 PBE-GGA optimized geometry; total energy = -4.941 eV per atom; magnetization = 0.04 μB/f.u.; space-group type = P6_3/mcm
1.0
4.877 -8.448 0.000
4.877 8.448 0.000
0.000 0.000 7.134
Pb La Cu
6 10 2
Cartesian
1.923 -3.331 1.784
2.954 5.116 5.351
3.847 0.000 5.351
5.908 0.000 1.784
1.923 3.331 1.784
2.954 -5.116 5.351
4.877 -2.816 0.000
7.292 0.000 5.351
1.231 -2.133 5.351
4.877 2.816 3.567
3.646 6.315 1.784
2.462 0.000 1.784
4.877 2.816 0.000
4.877 -2.816 3.567
1.231 2.133 5.351
3.646 -6.315 1.784
0.000 0.000 3.567
0.000 0.000 0.000

PO2 PBE-GGA optimized geometry; total energy = -6.910 eV per atom; space-group type = C2/c
1.0
5.253 4.973 0.000
-5.253 4.973 0.000
0.000 0.919 7.240
O P
16 8
Cartesian
4.825 5.663 5.430
3.060 6.362 3.775
3.047 7.326 6.116
3.047 4.000 4.744
-4.825 5.203 1.810
-3.047 6.866 2.496
-0.353 8.248 6.413
-1.248 5.203 1.810
-0.353 3.078 4.447
0.353 2.618 0.827
3.060 4.964 7.085
-3.047 3.540 1.124
-3.060 5.902 0.155
1.248 5.663 5.430
-3.060 4.504 3.465
0.353 7.788 2.793
1.231 1.544 1.277
1.231 8.862 2.343
-1.231 2.004 4.897
-1.952 4.639 0.431
1.952 5.099 4.051
1.952 6.227 6.809
-1.231 9.322 5.963
-1.952 5.767 3.189